Record 1
{"formula": "RbAlCuP2O8", "functional": "PBE-GGA", "state": "relaxed", "formation_energy_ev_per_atom": -2.62, "spacegroup": "P2_1/c", "rho_kg_m3": 3578, "cell": [[5.129, 0.000, 0.000], [0.000, 14.217, 0.000], [-1.677, 0.000, 9.314]], "species": ["Rb", "Rb", "Rb", "Rb", "Al", "Al", "Al", "Al", "Cu", "Cu", "Cu", "Cu", "P", "P", "P", "P", "P", "P", "P", "P", "O", "O", "O", "O", "O", "O", "O", "O", "O", "O", "O", "O", "O", "O", "O", "O", "O", "O", "O", "O", "O", "O", "O", "O", "O", "O", "O", "O", "O", "O", "O", "O"], "frac_coords": [[0.213, 0.174, 0.287], [0.213, 0.326, 0.787], [0.787, 0.674, 0.213], [0.787, 0.826, 0.713], [0.246, 0.630, 0.889], [0.246, 0.870, 0.389], [0.754, 0.130, 0.611], [0.754, 0.370, 0.111], [0.240, 0.042, 0.950], [0.240, 0.458, 0.450], [0.760, 0.542, 0.550], [0.760, 0.958, 0.050], [0.273, 0.672, 0.549], [0.273, 0.828, 0.049], [0.279, 0.012, 0.664], [0.279, 0.488, 0.164], [0.721, 0.512, 0.836], [0.721, 0.988, 0.336], [0.727, 0.172, 0.951], [0.727, 0.328, 0.451], [0.011, 0.051, 0.696], [0.011, 0.449, 0.196], [0.095, 0.586, 0.485], [0.095, 0.914, 0.985], [0.158, 0.742, 0.959], [0.158, 0.758, 0.459], [0.230, 0.578, 0.075], [0.230, 0.922, 0.575], [0.251, 0.689, 0.708], [0.251, 0.811, 0.208], [0.413, 0.091, 0.588], [0.413, 0.409, 0.088], [0.435, 0.160, 0.970], [0.435, 0.340, 0.470], [0.451, 0.510, 0.313], [0.451, 0.990, 0.813], [0.549, 0.010, 0.187], [0.549, 0.490, 0.687], [0.565, 0.660, 0.530], [0.565, 0.840, 0.030], [0.587, 0.591, 0.912], [0.587, 0.909, 0.412], [0.749, 0.189, 0.792], [0.749, 0.311, 0.292], [0.770, 0.078, 0.425], [0.770, 0.422, 0.925], [0.842, 0.242, 0.541], [0.842, 0.258, 0.041], [0.905, 0.086, 0.015], [0.905, 0.414, 0.515], [0.989, 0.551, 0.804], [0.989, 0.949, 0.304]]}

=====

Record 2
{"formula": "AlCu3Sb4O12", "functional": "PBE-GGA", "state": "relaxed", "formation_energy_ev_per_atom": -1.38, "spacegroup": "Im-3", "rho_kg_m3": 6107, "cell": [[-3.935, 3.935, 3.935], [3.935, -3.935, 3.935], [3.935, 3.935, -3.935]], "species": ["Al", "Cu", "Cu", "Cu", "Sb", "Sb", "Sb", "Sb", "O", "O", "O", "O", "O", "O", "O", "O", "O", "O", "O", "O"], "frac_coords": [[0.000, 0.000, 0.000], [0.000, 0.500, 0.500], [0.500, 0.000, 0.500], [0.500, 0.500, 0.000], [0.000, 0.000, 0.500], [0.000, 0.500, 0.000], [0.500, 0.000, 0.000], [0.500, 0.500, 0.500], [0.128, 0.826, 0.302], [0.174, 0.302, 0.476], [0.174, 0.698, 0.872], [0.302, 0.128, 0.826], [0.302, 0.476, 0.174], [0.476, 0.174, 0.302], [0.524, 0.826, 0.698], [0.698, 0.524, 0.826], [0.698, 0.872, 0.174], [0.826, 0.302, 0.128], [0.826, 0.698, 0.524], [0.872, 0.174, 0.698]]}

=====

Record 3
{"formula": "Al4Cu13Si2Sb2O28", "functional": "PBE-GGA", "state": "relaxed", "formation_energy_ev_per_atom": -1.77, "spacegroup": "P1", "rho_kg_m3": 5252, "cell": [[5.440, 0.000, 0.000], [1.396, 8.383, 0.000], [2.688, 0.043, 11.659]], "species": ["Al", "Al", "Al", "Al", "Cu", "Cu", "Cu", "Cu", "Cu", "Cu", "Cu", "Cu", "Cu", "Cu", "Cu", "Cu", "Cu", "Si", "Si", "Sb", "Sb", "O", "O", "O", "O", "O", "O", "O", "O", "O", "O", "O", "O", "O", "O", "O", "O", "O", "O", "O", "O", "O", "O", "O", "O", "O", "O", "O", "O"], "frac_coords": [[0.000, 0.000, 0.000], [0.008, 0.336, 0.142], [0.429, 0.002, 0.143], [0.579, 0.335, 0.000], [0.078, 0.668, 0.425], [0.134, 0.309, 0.860], [0.184, 0.026, 0.713], [0.213, 0.669, 0.153], [0.311, 0.025, 0.429], [0.420, 0.308, 0.284], [0.505, 0.667, 0.571], [0.592, 0.030, 0.858], [0.697, 0.311, 0.712], [0.796, 0.668, 0.989], [0.838, 0.311, 0.429], [0.875, 0.030, 0.284], [0.935, 0.666, 0.716], [0.284, 0.351, 0.571], [0.728, 0.983, 0.572], [0.365, 0.670, 0.851], [0.645, 0.669, 0.291], [0.087, 0.539, 0.850], [0.091, 0.784, 0.983], [0.113, 0.034, 0.123], [0.120, 0.275, 0.689], [0.165, 0.076, 0.870], [0.203, 0.550, 0.572], [0.220, 0.795, 0.725], [0.232, 0.279, 0.454], [0.343, 0.303, 0.123], [0.366, 0.538, 0.290], [0.378, 0.788, 0.420], [0.421, 0.014, 0.570], [0.469, 0.074, 0.272], [0.500, 0.786, 0.160], [0.508, 0.552, 0.982], [0.538, 0.263, 0.870], [0.590, 0.320, 0.571], [0.629, 0.548, 0.723], [0.643, 0.800, 0.852], [0.664, 0.034, 0.020], [0.774, 0.058, 0.689], [0.785, 0.547, 0.419], [0.807, 0.784, 0.572], [0.839, 0.263, 0.272], [0.894, 0.057, 0.454], [0.895, 0.305, 0.019], [0.918, 0.553, 0.160], [0.923, 0.800, 0.291]]}

=====

Record 4
{"formula": "AlCu3Sn4O12", "functional": "PBE-GGA", "state": "relaxed", "formation_energy_ev_per_atom": -1.57, "spacegroup": "Im-3", "rho_kg_m3": 6334, "cell": [[-3.870, 3.870, 3.870], [3.870, -3.870, 3.870], [3.870, 3.870, -3.870]], "species": ["Al", "Cu", "Cu", "Cu", "Sn", "Sn", "Sn", "Sn", "O", "O", "O", "O", "O", "O", "O", "O", "O", "O", "O", "O"], "frac_coords": [[0.000, 0.000, 0.000], [0.000, 0.500, 0.500], [0.500, 0.000, 0.500], [0.500, 0.500, 0.000], [0.000, 0.000, 0.500], [0.000, 0.500, 0.000], [0.500, 0.000, 0.000], [0.500, 0.500, 0.500], [0.133, 0.300, 0.834], [0.166, 0.466, 0.300], [0.166, 0.867, 0.700], [0.300, 0.166, 0.466], [0.300, 0.834, 0.133], [0.466, 0.300, 0.166], [0.534, 0.700, 0.834], [0.700, 0.166, 0.867], [0.700, 0.834, 0.534], [0.834, 0.133, 0.300], [0.834, 0.534, 0.700], [0.867, 0.700, 0.166]]}

=====

Record 5
{"formula": "Sr2AlCu2SnO7", "functional": "PBE-GGA", "state": "relaxed", "polymorph_energy_mev_per_atom": 0, "formation_energy_ev_per_atom": -2.23, "spacegroup": "P1", "rho_kg_m3": 5373, "cell": [[5.366, 0.000, 0.000], [-0.030, 5.408, 0.000], [-2.662, -2.705, 11.930]], "species": ["Sr", "Sr", "Sr", "Sr", "Al", "Al", "Cu", "Cu", "Cu", "Cu", "Sn", "Sn", "O", "O", "O", "O", "O", "O", "O", "O", "O", "O", "O", "O", "O", "O"], "frac_coords": [[0.000, 0.000, 0.000], [0.213, 0.215, 0.439], [0.497, 0.489, 0.001], [0.710, 0.708, 0.438], [0.345, 0.347, 0.720], [0.848, 0.862, 0.719], [0.293, 0.797, 0.611], [0.411, 0.908, 0.832], [0.789, 0.298, 0.605], [0.907, 0.413, 0.827], [0.067, 0.645, 0.219], [0.580, 0.088, 0.220], [0.033, 0.494, 0.055], [0.084, 0.089, 0.823], [0.116, 0.120, 0.612], [0.192, 0.008, 0.219], [0.196, 0.659, 0.384], [0.232, 0.580, 0.826], [0.468, 0.477, 0.616], [0.520, 0.027, 0.043], [0.585, 0.230, 0.822], [0.615, 0.974, 0.612], [0.687, 0.711, 0.219], [0.694, 0.202, 0.396], [0.734, 0.734, 0.825], [0.971, 0.628, 0.616]]}

=====

Record 6
{"formula": "Sr2AlCu2SnO7", "functional": "PBE-GGA", "state": "relaxed", "polymorph_energy_mev_per_atom": 796, "formation_energy_ev_per_atom": -1.43, "spacegroup": "P1", "rho_kg_m3": 5373, "cell": [[5.366, 0.000, 0.000], [-0.030, 5.408, 0.000], [-2.662, -2.705, 11.930]], "species": ["Sr", "Sr", "Sr", "Sr", "Al", "Al", "Cu", "Cu", "Cu", "Cu", "Sn", "Sn", "O", "O", "O", "O", "O", "O", "O", "O", "O", "O", "O", "O", "O", "O"], "frac_coords": [[0.000, 0.000, 0.000], [0.223, 0.218, 0.563], [0.502, 0.506, 0.001], [0.728, 0.729, 0.562], [0.353, 0.357, 0.282], [0.857, 0.873, 0.281], [0.306, 0.805, 0.395], [0.409, 0.915, 0.173], [0.807, 0.315, 0.389], [0.911, 0.422, 0.168], [0.088, 0.598, 0.782], [0.575, 0.155, 0.782], [0.025, 0.536, 0.958], [0.082, 0.742, 0.178], [0.133, 0.484, 0.389], [0.195, 0.221, 0.782], [0.204, 0.713, 0.606], [0.231, 0.237, 0.175], [0.490, 0.137, 0.385], [0.539, 0.004, 0.947], [0.580, 0.591, 0.178], [0.637, 0.638, 0.388], [0.700, 0.518, 0.782], [0.706, 0.169, 0.617], [0.731, 0.092, 0.174], [0.989, 0.995, 0.385]]}

=====

Record 7
{"formula": "Sr2AlCu3O7", "functional": "PBE-GGA", "state": "relaxed", "polymorph_energy_mev_per_atom": 0, "formation_energy_ev_per_atom": -2.04, "spacegroup": "P1", "rho_kg_m3": 5124, "cell": [[5.299, 0.000, 0.000], [-0.005, 5.360, 0.000], [-2.646, -2.666, 11.520]], "species": ["Sr", "Sr", "Sr", "Sr", "Al", "Al", "Cu", "Cu", "Cu", "Cu", "Cu", "Cu", "O", "O", "O", "O", "O", "O", "O", "O", "O", "O", "O", "O", "O", "O"], "frac_coords": [[0.000, 0.000, 0.000], [0.194, 0.194, 0.396], [0.491, 0.501, 0.000], [0.688, 0.695, 0.395], [0.345, 0.345, 0.698], [0.854, 0.849, 0.697], [0.040, 0.572, 0.198], [0.286, 0.784, 0.578], [0.410, 0.910, 0.817], [0.652, 0.073, 0.198], [0.784, 0.286, 0.578], [0.906, 0.411, 0.817], [0.018, 0.522, 0.037], [0.082, 0.083, 0.808], [0.112, 0.111, 0.590], [0.178, 0.681, 0.359], [0.223, 0.584, 0.805], [0.465, 0.465, 0.587], [0.514, 0.021, 0.037], [0.578, 0.230, 0.809], [0.614, 0.969, 0.590], [0.674, 0.180, 0.358], [0.707, 0.730, 0.198], [0.725, 0.729, 0.805], [0.966, 0.613, 0.586], [0.992, 0.228, 0.198]]}

=====

Record 8
{"formula": "Sr2AlCu3O7", "functional": "PBE-GGA", "state": "relaxed", "polymorph_energy_mev_per_atom": 7, "formation_energy_ev_per_atom": -2.03, "spacegroup": "P1", "rho_kg_m3": 5146, "cell": [[5.309, 0.000, 0.000], [-0.008, 5.357, 0.000], [-2.651, -2.678, 11.455]], "species": ["Sr", "Sr", "Sr", "Sr", "Al", "Al", "Cu", "Cu", "Cu", "Cu", "Cu", "Cu", "O", "O", "O", "O", "O", "O", "O", "O", "O", "O", "O", "O", "O", "O"], "frac_coords": [[0.000, 0.000, 0.000], [0.196, 0.195, 0.396], [0.492, 0.500, 0.000], [0.689, 0.695, 0.396], [0.344, 0.349, 0.698], [0.851, 0.852, 0.698], [0.042, 0.576, 0.198], [0.285, 0.787, 0.577], [0.409, 0.912, 0.819], [0.648, 0.076, 0.198], [0.784, 0.289, 0.577], [0.906, 0.413, 0.819], [0.018, 0.523, 0.037], [0.080, 0.086, 0.809], [0.112, 0.115, 0.590], [0.178, 0.683, 0.360], [0.224, 0.585, 0.807], [0.465, 0.469, 0.587], [0.513, 0.023, 0.037], [0.578, 0.230, 0.808], [0.613, 0.971, 0.589], [0.672, 0.182, 0.360], [0.705, 0.733, 0.198], [0.725, 0.729, 0.806], [0.967, 0.616, 0.588], [0.986, 0.232, 0.198]]}

=====

Record 9
{"formula": "Sr2TaAlCu2O7", "functional": "PBE-GGA", "state": "relaxed", "formation_energy_ev_per_atom": -2.45, "spacegroup": "P1", "rho_kg_m3": 5694, "cell": [[5.480, 0.000, 0.000], [-0.244, 5.639, 0.000], [-2.576, -2.737, 11.746]], "species": ["Sr", "Sr", "Sr", "Sr", "Ta", "Ta", "Al", "Al", "Cu", "Cu", "Cu", "Cu", "O", "O", "O", "O", "O", "O", "O", "O", "O", "O", "O", "O", "O", "O"], "frac_coords": [[0.000, 0.000, 0.000], [0.216, 0.218, 0.458], [0.502, 0.453, 0.005], [0.719, 0.677, 0.454], [0.123, 0.668, 0.230], [0.538, 0.002, 0.230], [0.344, 0.318, 0.733], [0.865, 0.847, 0.726], [0.305, 0.775, 0.622], [0.422, 0.881, 0.836], [0.794, 0.279, 0.622], [0.911, 0.407, 0.836], [0.085, 0.454, 0.089], [0.109, 0.069, 0.831], [0.112, 0.103, 0.619], [0.174, 0.027, 0.228], [0.222, 0.591, 0.371], [0.247, 0.556, 0.840], [0.478, 0.447, 0.629], [0.529, 0.052, 0.082], [0.596, 0.219, 0.835], [0.625, 0.943, 0.618], [0.671, 0.197, 0.377], [0.748, 0.732, 0.837], [0.772, 0.742, 0.231], [0.978, 0.611, 0.624]]}

=====

Record 10
{"formula": "Sr2TiAlCu2O7", "functional": "PBE-GGA", "state": "relaxed", "formation_energy_ev_per_atom": -2.58, "spacegroup": "P1", "rho_kg_m3": 4556, "cell": [[5.442, 0.000, 0.000], [0.007, 5.734, 0.000], [2.715, 2.843, 11.428]], "species": ["Sr", "Sr", "Sr", "Sr", "Ti", "Ti", "Al", "Al", "Cu", "Cu", "Cu", "Cu", "O", "O", "O", "O", "O", "O", "O", "O", "O", "O", "O", "O", "O", "O"], "frac_coords": [[0.000, 0.000, 0.000], [0.218, 0.221, 0.560], [0.500, 0.440, 0.000], [0.719, 0.658, 0.560], [0.138, 0.654, 0.780], [0.638, 0.005, 0.780], [0.330, 0.332, 0.280], [0.829, 0.827, 0.280], [0.279, 0.784, 0.390], [0.390, 0.880, 0.170], [0.779, 0.265, 0.390], [0.891, 0.391, 0.170], [0.067, 0.720, 0.171], [0.092, 0.439, 0.390], [0.125, 0.583, 0.646], [0.207, 0.219, 0.171], [0.456, 0.114, 0.389], [0.484, 0.709, 0.780], [0.491, 0.077, 0.915], [0.567, 0.548, 0.171], [0.592, 0.610, 0.390], [0.625, 0.210, 0.646], [0.706, 0.050, 0.170], [0.956, 0.937, 0.389], [0.984, 0.951, 0.780], [0.992, 0.450, 0.914]]}

=====

Record 11
{"formula": "Sr2TiAlCu2O7", "functional": "PBE-GGA", "state": "relaxed", "formation_energy_ev_per_atom": -2.58, "spacegroup": "P1", "rho_kg_m3": 4554, "cell": [[5.431, 0.000, 0.000], [0.001, 5.745, 0.000], [2.712, 2.860, 11.432]], "species": ["Sr", "Sr", "Sr", "Sr", "Ti", "Ti", "Al", "Al", "Cu", "Cu", "Cu", "Cu", "O", "O", "O", "O", "O", "O", "O", "O", "O", "O", "O", "O", "O", "O"], "frac_coords": [[0.000, 0.000, 0.000], [0.215, 0.222, 0.559], [0.500, 0.445, 0.000], [0.715, 0.660, 0.559], [0.139, 0.657, 0.780], [0.638, 0.007, 0.779], [0.341, 0.342, 0.279], [0.841, 0.824, 0.280], [0.287, 0.790, 0.390], [0.401, 0.885, 0.170], [0.786, 0.264, 0.390], [0.901, 0.391, 0.169], [0.081, 0.725, 0.169], [0.096, 0.445, 0.388], [0.124, 0.585, 0.646], [0.216, 0.223, 0.172], [0.459, 0.120, 0.389], [0.485, 0.711, 0.780], [0.492, 0.079, 0.913], [0.580, 0.552, 0.169], [0.596, 0.612, 0.387], [0.623, 0.210, 0.646], [0.716, 0.049, 0.172], [0.959, 0.935, 0.390], [0.984, 0.953, 0.780], [0.993, 0.452, 0.914]]}

=====

Record 12
{"formula": "Sr2YAlCu2O7", "functional": "PBE-GGA", "state": "relaxed", "formation_energy_ev_per_atom": -2.70, "spacegroup": "Ima2", "rho_kg_m3": 5139, "cell": [[-11.390, 2.772, 2.713], [11.390, -2.772, 2.713], [11.390, 2.772, -2.713]], "species": ["Sr", "Sr", "Sr", "Sr", "Y", "Y", "Al", "Al", "Cu", "Cu", "Cu", "Cu", "O", "O", "O", "O", "O", "O", "O", "O", "O", "O", "O", "O", "O", "O"], "frac_coords": [[0.015, 0.154, 0.169], [0.015, 0.346, 0.360], [0.985, 0.654, 0.640], [0.985, 0.846, 0.831], [0.002, 0.002, 0.000], [0.002, 0.502, 0.500], [0.415, 0.733, 0.182], [0.550, 0.233, 0.818], [0.504, 0.077, 0.573], [0.504, 0.431, 0.927], [0.504, 0.577, 0.073], [0.504, 0.931, 0.427], [0.004, 0.327, 0.814], [0.004, 0.690, 0.178], [0.005, 0.189, 0.694], [0.005, 0.413, 0.092], [0.005, 0.811, 0.315], [0.322, 0.913, 0.908], [0.479, 0.223, 0.618], [0.479, 0.361, 0.756], [0.495, 0.311, 0.306], [0.495, 0.689, 0.685], [0.512, 0.190, 0.186], [0.512, 0.827, 0.822], [0.605, 0.723, 0.244], [0.605, 0.861, 0.382]]}